[1]
Below is a geometry-optimized Cs2Tm2MgW4O16 structure, with properties calculated at the PBE+U level.

a = 7.6317 Å, b = 7.6765 Å, c = 7.9983 Å
α = 66.90°, β = 61.95°, γ = 62.96°
With the nearest neighbours (Å) after each atom.
Fractional positions:
Cs (0.0000, 0.0000, 0.0000)  10 O 2.97-3.26
Cs (0.2067, 0.3325, 0.2975)  1 Mg 2.75, 8 O 2.78-3.04
Tm (0.5212, 0.9672, 0.9834)  6 O 2.26-2.40
Tm (0.5884, 0.4439, 0.3994)  5 O 2.15-2.37
Mg (0.9306, 0.5683, 0.5627)  4 O 1.90-2.12
W (0.0451, 0.9189, 0.5101)  4 O 1.83-2.03
W (0.0654, 0.5094, 0.8857)  4 O 1.84-2.04
W (0.5523, 0.5186, 0.8933)  4 O 1.88-2.07
W (0.5528, 0.9058, 0.4967)  5 O 1.87-2.08
O (0.1914, 0.5929, 0.5726)  1 Mg 2.12, 2 W 2.15-2.18
O (0.2226, 0.9502, 0.2512)  1 W 1.86
O (0.2387, 0.9468, 0.5776)  2 W 1.91-2.07
O (0.2465, 0.5928, 0.9156)  2 W 1.90-2.07
O (0.2556, 0.2525, 0.8883)  1 W 1.84
O (0.4923, 0.5709, 0.1339)  1 W 1.92
O (0.5096, 0.8297, 0.7867)  2 W 2.06-2.12, 1 Tm 2.26
O (0.5114, 0.1822, 0.4628)  1 W 1.92, 1 Tm 2.15
O (0.5833, 0.2488, 0.9374)  1 W 1.88
O (0.5998, 0.8788, 0.2550)  1 W 1.87
O (0.6487, 0.5736, 0.5803)  1 Mg 2.07, 2 W 2.17-2.22
O (0.8532, 0.1724, 0.5114)  1 W 1.83
O (0.8677, 0.8462, 0.4387)  1 Mg 1.90, 2 W 2.03-2.08
O (0.8698, 0.4420, 0.8313)  1 Mg 1.90, 2 W 2.04-2.07
O (0.8833, 0.4833, 0.1412)  1 W 1.85
O (0.8850, 0.8129, 0.8058)  2 W 2.10-2.12

Computed properties:
magnetic moment = 2.00 μB/f.u.
distance to the lowest polymorph of the same formula = 59.5 meV per atom
calculated total energy = -178.12 eV/cell
calculated formation energy = -63.52 eV per formula unit
crystal system = triclinic

=====

[2]
Below is a geometry-optimized ZnW4O8 structure, with properties calculated at the PBE+U level.

a = 3.3029 Å, b = 7.7045 Å, c = 7.7753 Å
α = 88.26°, β = 77.80°, γ = 79.46°
With the nearest neighbours (Å) after each atom.
Fractional positions:
Zn (0.0000, 0.0000, 0.0000)  7 O 3.12-3.39, 2 Zn 3.30
W (0.2024, 0.5198, 0.1740)  6 O 2.06-2.17
W (0.4071, 0.8265, 0.5013)  6 O 2.06-2.18
W (0.7426, 0.1956, 0.4772)  6 O 2.06-2.17
W (0.8964, 0.5012, 0.8039)  6 O 2.06-2.18
O (0.0460, 0.7073, 0.3717)  3 W 2.06-2.18
O (0.1059, 0.3129, 0.6076)  3 W 2.06-2.17
O (0.3651, 0.0613, 0.3629)  3 W 2.07-2.14
O (0.3709, 0.3848, 0.9349)  3 W 2.08-2.15
O (0.4198, 0.6322, 0.6891)  3 W 2.06-2.18
O (0.7077, 0.6356, 0.0426)  3 W 2.07-2.15
O (0.7227, 0.3871, 0.2872)  3 W 2.06-2.17
O (0.7841, 0.9606, 0.6160)  3 W 2.08-2.14

Computed properties:
magnetic moment = 8.00 μB/f.u.
distance to the lowest polymorph of the same formula = 0.0 meV per atom
calculated total energy = -91.47 eV/cell
calculated formation energy = -22.04 eV per formula unit
crystal system = triclinic

=====

[3]
Below is a geometry-optimized LiZn2CrO4 structure, with properties calculated at the PBE+U level.

a = 5.3290 Å, b = 5.3290 Å, c = 5.3290 Å
α = 133.88°, β = 133.88°, γ = 67.27°
With the nearest neighbours (Å) after each atom.
Fractional positions:
Li (0.0000, 0.0000, 0.0000)  4 O 2.09
Zn (0.2500, 0.7500, 0.5000)  6 O 2.10-2.22
Zn (0.7500, 0.2500, 0.5000)  6 O 2.10-2.22
Cr (0.5000, 0.5000, 0.0000)  6 O 2.01-2.09
O (0.0000, 0.5000, 0.5000)  2 Cr 2.09, 2 Li 2.09, 2 Zn 2.22
O (0.2738, 0.2738, 0.0000)  1 Cr 2.01, 4 Zn 2.10
O (0.5000, 0.0000, 0.5000)  2 Cr 2.09, 2 Li 2.09, 2 Zn 2.22
O (0.7262, 0.7262, 0.0000)  1 Cr 2.01, 4 Zn 2.10

Computed properties:
magnetic moment = 3.00 μB/f.u.
calculated total energy = -44.97 eV/cell
calculated formation energy = -15.84 eV per formula unit
crystal system = tetragonal

=====

[4]
Below is a geometry-optimized Li6V5O12 structure, with properties calculated at the PBE+U level.

a = 5.0459 Å, b = 5.0459 Å, c = 9.5451 Å
α = 93.66°, β = 93.66°, γ = 116.19°
With the nearest neighbours (Å) after each atom.
Fractional positions:
Li (0.0000, 0.0000, 0.0000)  4 O 2.02-2.03
Li (0.0633, 0.3745, 0.2388)  4 O 1.97-2.11
Li (0.4016, 0.0744, 0.2434)  5 O 2.01-2.19
Li (0.6255, 0.9367, 0.7612)  4 O 1.97-2.11
Li (0.6717, 0.3283, 0.0000)  6 O 2.09-2.13
Li (0.9256, 0.5984, 0.7566)  5 O 2.01-2.19
V (0.1868, 0.8132, 0.5000)  6 O 2.01-2.08
V (0.2784, 0.2532, 0.7498)  6 O 1.91-2.06
V (0.3298, 0.6702, 0.0000)  6 O 1.92-2.06
V (0.7468, 0.7216, 0.2502)  6 O 1.91-2.06
V (0.8369, 0.1631, 0.5000)  6 O 2.03-2.05
O (0.0195, 0.3354, 0.8878)  2 V 1.92-2.06, 3 Li 2.03-2.10
O (0.0223, 0.6987, 0.1235)  2 V 1.94-2.06, 3 Li 2.02-2.13
O (0.0901, 0.0609, 0.3677)  2 Li 2.01-2.11, 3 V 2.01-2.05
O (0.1854, 0.4900, 0.6253)  3 V 1.91-2.08, 1 Li 2.08
O (0.3013, 0.9777, 0.8765)  2 V 1.94-2.06, 3 Li 2.02-2.13
O (0.3968, 0.4110, 0.1318)  3 Li 1.97-2.09, 2 V 1.98-1.99
O (0.5100, 0.8146, 0.3747)  3 V 1.91-2.08, 1 Li 2.08
O (0.5215, 0.1608, 0.6227)  3 V 1.95-2.04, 1 Li 1.98
O (0.5890, 0.6032, 0.8682)  3 Li 1.97-2.09, 2 V 1.98-1.99
O (0.6646, 0.9805, 0.1122)  2 V 1.92-2.06, 3 Li 2.03-2.10
O (0.8392, 0.4785, 0.3773)  3 V 1.95-2.04, 1 Li 1.98
O (0.9391, 0.9099, 0.6323)  2 Li 2.01-2.11, 3 V 2.01-2.05

Computed properties:
magnetic moment = 7.00 μB/f.u.
distance to the lowest polymorph of the same formula = 10.1 meV per atom
calculated total energy = -155.83 eV/cell
calculated formation energy = -56.33 eV per formula unit
crystal system = monoclinic

=====

Which value of magnetic moment does entry 4 give? 7.00 μB/f.u.

=====

Copy entry 3 word for word.
Below is a geometry-optimized LiZn2CrO4 structure, with properties calculated at the PBE+U level.

a = 5.3290 Å, b = 5.3290 Å, c = 5.3290 Å
α = 133.88°, β = 133.88°, γ = 67.27°
With the nearest neighbours (Å) after each atom.
Fractional positions:
Li (0.0000, 0.0000, 0.0000)  4 O 2.09
Zn (0.2500, 0.7500, 0.5000)  6 O 2.10-2.22
Zn (0.7500, 0.2500, 0.5000)  6 O 2.10-2.22
Cr (0.5000, 0.5000, 0.0000)  6 O 2.01-2.09
O (0.0000, 0.5000, 0.5000)  2 Cr 2.09, 2 Li 2.09, 2 Zn 2.22
O (0.2738, 0.2738, 0.0000)  1 Cr 2.01, 4 Zn 2.10
O (0.5000, 0.0000, 0.5000)  2 Cr 2.09, 2 Li 2.09, 2 Zn 2.22
O (0.7262, 0.7262, 0.0000)  1 Cr 2.01, 4 Zn 2.10

Computed properties:
magnetic moment = 3.00 μB/f.u.
calculated total energy = -44.97 eV/cell
calculated formation energy = -15.84 eV per formula unit
crystal system = tetragonal

=====

The lowest calculated total energy belongs to which entry? Cs2Tm2MgW4O16